DFT (GGA+U) results for a relaxed structure of Li2VOF4.

M_tot, Bohr magnetons per cell: 4.0
E above lowest polymorph, meV/atom: 17
Calculated volume, A^3/atom: 11.1
Formation energy, eV/atom: -3.0145

The structure in CIF format:
```
data_Li2VOF4
_cell_length_a 5.048
_cell_length_b 7.220
_cell_length_c 10.346
_cell_angle_alpha 108.97
_cell_angle_beta 89.78
_cell_angle_gamma 91.14
_space_group_name_H-M_alt 'P 1'
_space_group_IT_number 1
loop_
_space_group_symop_operation_xyz
'x,y,z'
loop_
_atom_site_label
_atom_site_type_symbol
_atom_site_fract_x
_atom_site_fract_y
_atom_site_fract_z
_atom_site_occupancy
Li1 Li 0.468 0.640 0.813 1
O1 O 0.840 0.751 0.000 1
F1 F 0.341 0.032 0.676 1
F2 F 0.155 0.034 0.180 1
F3 F 0.185 0.473 0.837 1
V1 V 0.013 0.034 0.005 1
F4 F 0.307 0.464 0.332 1
F5 F 0.337 0.240 0.503 1
F6 F 0.705 0.358 0.895 1
F7 F 0.673 0.121 0.088 1
F8 F 0.227 0.611 0.615 1
F9 F 0.703 0.535 0.670 1
Li2 Li 0.033 0.852 0.660 1
O2 O 0.153 0.253 0.010 1
F10 F 0.651 0.966 0.322 1
O3 O 0.650 0.755 0.500 1
V2 V 0.969 0.534 0.001 1
F11 F 0.840 0.964 0.827 1
O4 O 0.789 0.367 0.401 1
F12 F 0.795 0.525 0.166 1
V3 V 0.518 0.973 0.499 1
Li3 Li 0.477 0.368 0.157 1
Li4 Li 0.510 0.118 0.854 1
Li5 Li 0.036 0.629 0.313 1
F13 F 0.274 0.638 0.117 1
F14 F 0.815 0.137 0.580 1
Li6 Li 0.997 0.116 0.362 1
V4 V 0.536 0.484 0.489 1
Li7 Li 0.016 0.383 0.659 1
F15 F 0.316 0.881 0.915 1
Li8 Li 0.493 0.885 0.138 1
F16 F 0.177 0.878 0.415 1
```

---

DFT (GGA+U) results for a relaxed structure of LiCr2P2O8.

M_tot, Bohr magnetons per cell: 28.0
E above lowest polymorph, meV/atom: 49
Calculated volume, A^3/atom: 12.1
Formation energy, eV/atom: -2.4879

The structure in CIF format:
```
data_LiCr2P2O8
_cell_length_a 10.858
_cell_length_b 5.642
_cell_length_c 10.258
_cell_angle_alpha 87.67
_cell_angle_beta 90.00
_cell_angle_gamma 90.00
_space_group_name_H-M_alt 'P 1'
_space_group_IT_number 1
loop_
_space_group_symop_operation_xyz
'x,y,z'
loop_
_atom_site_label
_atom_site_type_symbol
_atom_site_fract_x
_atom_site_fract_y
_atom_site_fract_z
_atom_site_occupancy
P1 P 0.640 0.118 0.088 1
O1 O 0.972 0.875 0.148 1
O2 O 0.554 0.335 0.073 1
O3 O 0.472 0.125 0.352 1
Cr1 Cr 0.872 0.661 0.483 1
O4 O 0.305 0.359 0.458 1
Cr2 Cr 0.599 0.131 0.767 1
Cr3 Cr 0.901 0.131 0.267 1
O5 O 0.820 0.645 0.292 1
P2 P 0.893 0.638 0.161 1
O6 O 0.446 0.665 0.927 1
Li1 Li 0.625 0.880 0.404 1
O7 O 0.692 0.060 0.951 1
O8 O 0.564 0.892 0.133 1
O9 O 0.436 0.108 0.867 1
O10 O 0.680 0.645 0.792 1
Cr4 Cr 0.372 0.339 0.017 1
O11 O 0.805 0.641 0.042 1
P3 P 0.360 0.882 0.912 1
O12 O 0.054 0.665 0.427 1
O13 O 0.028 0.125 0.852 1
O14 O 0.195 0.359 0.958 1
O15 O 0.237 0.836 0.309 1
O16 O 0.973 0.408 0.163 1
Cr5 Cr 0.401 0.869 0.233 1
O17 O 0.808 0.060 0.451 1
O18 O 0.763 0.164 0.691 1
O19 O 0.027 0.592 0.837 1
P4 P 0.393 0.362 0.339 1
O20 O 0.263 0.836 0.809 1
P5 P 0.860 0.118 0.588 1
Li2 Li 0.125 0.120 0.096 1
O21 O 0.320 0.355 0.208 1
Cr6 Cr 0.128 0.339 0.517 1
O22 O 0.308 0.940 0.049 1
O23 O 0.946 0.335 0.573 1
O24 O 0.527 0.408 0.663 1
O25 O 0.528 0.875 0.648 1
P6 P 0.140 0.882 0.412 1
O26 O 0.936 0.892 0.633 1
Li3 Li 0.375 0.120 0.596 1
Cr7 Cr 0.099 0.869 0.733 1
O27 O 0.473 0.592 0.337 1
Li4 Li 0.875 0.880 0.904 1
O28 O 0.064 0.108 0.367 1
P7 P 0.107 0.362 0.839 1
P8 P 0.607 0.638 0.661 1
O29 O 0.180 0.355 0.708 1
Cr8 Cr 0.628 0.661 0.983 1
O30 O 0.737 0.164 0.191 1
O31 O 0.695 0.641 0.542 1
O32 O 0.192 0.940 0.549 1
```

---

DFT (GGA+U) results for a relaxed structure of Li3V5O12.

M_tot, Bohr magnetons per cell: 4.0
E above lowest polymorph, meV/atom: 47
Calculated volume, A^3/atom: 12.7
Formation energy, eV/atom: -2.4135

The structure in CIF format:
```
data_Li3V5O12
_cell_length_a 6.903
_cell_length_b 6.903
_cell_length_c 5.786
_cell_angle_alpha 74.19
_cell_angle_beta 74.19
_cell_angle_gamma 82.12
_space_group_name_H-M_alt 'P 1'
_space_group_IT_number 1
loop_
_space_group_symop_operation_xyz
'x,y,z'
loop_
_atom_site_label
_atom_site_type_symbol
_atom_site_fract_x
_atom_site_fract_y
_atom_site_fract_z
_atom_site_occupancy
V1 V 0.608 0.813 0.513 1
O1 O 0.214 0.016 0.113 1
O2 O 0.357 0.368 0.182 1
V2 V 0.389 0.202 0.987 1
O3 O 0.808 0.978 0.419 1
O4 O 0.351 0.895 0.574 1
O5 O 0.371 0.337 0.684 1
O6 O 0.663 0.629 0.316 1
O7 O 0.022 0.192 0.581 1
O8 O 0.105 0.649 0.426 1
Li1 Li 0.241 0.759 0.000 1
V3 V 0.085 0.915 0.500 1
O9 O 0.632 0.643 0.818 1
V4 V 0.798 0.611 0.013 1
O10 O 0.984 0.786 0.887 1
O11 O 0.627 0.093 0.946 1
V5 V 0.187 0.392 0.487 1
O12 O 0.907 0.373 0.054 1
Li2 Li 0.746 0.254 0.500 1
Li3 Li 0.904 0.096 0.000 1
```

---

DFT (GGA+U) results for a relaxed structure of Li3MnP2O8.

M_tot, Bohr magnetons per cell: 32.0
E above lowest polymorph, meV/atom: 39
Calculated volume, A^3/atom: 11.3
Formation energy, eV/atom: -2.5639

The structure in CIF format:
```
data_Li3MnP2O8
_cell_length_a 9.903
_cell_length_b 8.668
_cell_length_c 16.392
_cell_angle_alpha 64.04
_cell_angle_beta 90.00
_cell_angle_gamma 90.00
_space_group_name_H-M_alt 'P 1'
_space_group_IT_number 1
loop_
_space_group_symop_operation_xyz
'x,y,z'
loop_
_atom_site_label
_atom_site_type_symbol
_atom_site_fract_x
_atom_site_fract_y
_atom_site_fract_z
_atom_site_occupancy
O1 O 0.527 0.184 0.427 1
P1 P 0.655 0.828 0.100 1
P2 P 0.863 0.259 0.158 1
O2 O 0.410 0.202 0.095 1
O3 O 0.064 0.320 0.400 1
O4 O 0.244 0.113 0.979 1
P3 P 0.359 0.784 0.641 1
Li1 Li 0.900 0.019 0.053 1
O5 O 0.841 0.055 0.841 1
O6 O 0.149 0.512 0.492 1
O7 O 0.942 0.980 0.582 1
O8 O 0.649 0.488 0.008 1
P4 P 0.345 0.172 0.900 1
O9 O 0.590 0.798 0.905 1
O10 O 0.412 0.782 0.419 1
O11 O 0.058 0.020 0.418 1
Mn1 Mn 0.358 0.978 0.112 1
P5 P 0.845 0.828 0.600 1
O12 O 0.568 0.136 0.748 1
O13 O 0.404 0.415 0.155 1
Li2 Li 0.400 0.981 0.447 1
P6 P 0.155 0.172 0.400 1
Li3 Li 0.600 0.019 0.553 1
O14 O 0.386 0.553 0.356 1
O15 O 0.274 0.234 0.808 1
O16 O 0.912 0.218 0.081 1
Mn2 Mn 0.879 0.447 0.636 1
O17 O 0.256 0.113 0.479 1
O18 O 0.756 0.887 0.021 1
O19 O 0.351 0.512 0.992 1
Li4 Li 0.100 0.981 0.947 1
O20 O 0.596 0.585 0.845 1
O21 O 0.341 0.945 0.659 1
P7 P 0.669 0.639 0.911 1
O22 O 0.703 0.229 0.166 1
Li5 Li 0.911 0.253 0.501 1
O23 O 0.659 0.055 0.341 1
O24 O 0.090 0.202 0.595 1
O25 O 0.473 0.816 0.573 1
O26 O 0.774 0.766 0.692 1
Li6 Li 0.885 0.960 0.755 1
O27 O 0.096 0.415 0.655 1
Li7 Li 0.096 0.395 0.198 1
Li8 Li 0.078 0.281 0.009 1
Mn3 Mn 0.642 0.022 0.888 1
Mn4 Mn 0.858 0.022 0.388 1
Li9 Li 0.877 0.592 0.225 1
Li10 Li 0.377 0.408 0.275 1
Li11 Li 0.904 0.605 0.802 1
Li12 Li 0.115 0.040 0.245 1
Li13 Li 0.615 0.960 0.255 1
P8 P 0.641 0.216 0.359 1
O28 O 0.181 0.321 0.111 1
P9 P 0.169 0.361 0.589 1
Li14 Li 0.089 0.747 0.499 1
O29 O 0.159 0.945 0.159 1
Li15 Li 0.589 0.253 0.001 1
O30 O 0.114 0.553 0.856 1
P10 P 0.831 0.639 0.411 1
P11 P 0.859 0.216 0.859 1
Li16 Li 0.123 0.408 0.775 1
Mn5 Mn 0.379 0.553 0.864 1
O31 O 0.088 0.782 0.919 1
Li17 Li 0.623 0.592 0.725 1
O32 O 0.609 0.389 0.273 1
O33 O 0.726 0.766 0.192 1
Li18 Li 0.385 0.040 0.745 1
O34 O 0.213 0.771 0.606 1
O35 O 0.226 0.234 0.308 1
O36 O 0.932 0.136 0.248 1
O37 O 0.614 0.447 0.644 1
Li19 Li 0.422 0.281 0.509 1
O38 O 0.564 0.680 0.100 1
P12 P 0.141 0.784 0.141 1
Li20 Li 0.922 0.719 0.991 1
O39 O 0.910 0.798 0.405 1
O40 O 0.287 0.771 0.106 1
O41 O 0.973 0.184 0.927 1
O42 O 0.797 0.229 0.666 1
P13 P 0.363 0.741 0.342 1
O43 O 0.068 0.864 0.752 1
O44 O 0.442 0.020 0.918 1
O45 O 0.904 0.585 0.345 1
O46 O 0.319 0.321 0.611 1
O47 O 0.558 0.980 0.082 1
P14 P 0.331 0.361 0.089 1
O48 O 0.588 0.218 0.581 1
Li21 Li 0.404 0.395 0.698 1
Mn6 Mn 0.621 0.447 0.136 1
Mn7 Mn 0.121 0.553 0.364 1
O49 O 0.744 0.887 0.521 1
Li22 Li 0.578 0.719 0.491 1
O50 O 0.432 0.864 0.252 1
O51 O 0.436 0.320 0.900 1
O52 O 0.109 0.611 0.227 1
O53 O 0.787 0.229 0.394 1
P15 P 0.137 0.741 0.842 1
O54 O 0.681 0.679 0.389 1
O55 O 0.851 0.488 0.508 1
O56 O 0.713 0.229 0.894 1
Mn8 Mn 0.142 0.978 0.612 1
Li23 Li 0.596 0.605 0.302 1
O57 O 0.936 0.680 0.600 1
O58 O 0.886 0.447 0.144 1
Li24 Li 0.411 0.747 0.999 1
O59 O 0.203 0.771 0.334 1
O60 O 0.819 0.679 0.889 1
O61 O 0.891 0.389 0.773 1
O62 O 0.027 0.816 0.073 1
P16 P 0.637 0.259 0.658 1
O63 O 0.297 0.771 0.834 1
O64 O 0.391 0.611 0.727 1
```

---

DFT (GGA+U) results for a relaxed structure of Rb2Mg2Mo3O12.

M_tot, Bohr magnetons per cell: 0.0
Calculated volume, A^3/atom: 17.4
Formation energy, eV/atom: -2.3501

The structure in CIF format:
```
data_Rb2Mg2Mo3O12
_cell_length_a 10.980
_cell_length_b 10.980
_cell_length_c 10.980
_cell_angle_alpha 90.00
_cell_angle_beta 90.00
_cell_angle_gamma 90.00
_space_group_name_H-M_alt 'P 1'
_space_group_IT_number 1
loop_
_space_group_symop_operation_xyz
'x,y,z'
loop_
_atom_site_label
_atom_site_type_symbol
_atom_site_fract_x
_atom_site_fract_y
_atom_site_fract_z
_atom_site_occupancy
O1 O 0.483 0.946 0.827 1
O2 O 0.550 0.695 0.764 1
O3 O 0.564 0.770 0.014 1
Mg1 Mg 0.663 0.837 0.163 1
Rb1 Rb 0.319 0.681 0.181 1
O4 O 0.230 0.514 0.936 1
O5 O 0.305 0.264 0.950 1
O6 O 0.175 0.259 0.403 1
O7 O 0.825 0.759 0.097 1
O8 O 0.014 0.564 0.770 1
Mo1 Mo 0.290 0.624 0.522 1
Mo2 Mo 0.522 0.290 0.624 1
O9 O 0.403 0.175 0.259 1
Rb2 Rb 0.681 0.181 0.319 1
O10 O 0.936 0.230 0.514 1
O11 O 0.554 0.173 0.983 1
Mo3 Mo 0.876 0.478 0.790 1
Mo4 Mo 0.022 0.210 0.376 1
Mo5 Mo 0.210 0.376 0.022 1
Rb3 Rb 0.552 0.448 0.948 1
O12 O 0.730 0.986 0.064 1
Mg2 Mg 0.395 0.105 0.895 1
Rb4 Rb 0.948 0.552 0.448 1
O13 O 0.064 0.730 0.986 1
O14 O 0.983 0.554 0.173 1
O15 O 0.946 0.827 0.483 1
Rb5 Rb 0.448 0.948 0.552 1
Mg3 Mg 0.163 0.663 0.837 1
O16 O 0.270 0.486 0.436 1
O17 O 0.446 0.673 0.517 1
O18 O 0.514 0.936 0.230 1
O19 O 0.241 0.597 0.675 1
O20 O 0.741 0.903 0.325 1
O21 O 0.597 0.675 0.241 1
O22 O 0.764 0.550 0.695 1
O23 O 0.827 0.483 0.946 1
O24 O 0.325 0.741 0.903 1
O25 O 0.097 0.825 0.759 1
Rb6 Rb 0.052 0.052 0.052 1
O26 O 0.903 0.325 0.741 1
O27 O 0.950 0.305 0.264 1
O28 O 0.264 0.950 0.305 1
Mg4 Mg 0.337 0.337 0.337 1
O29 O 0.759 0.097 0.825 1
O30 O 0.695 0.764 0.550 1
O31 O 0.805 0.236 0.050 1
O32 O 0.517 0.446 0.673 1
Mo6 Mo 0.624 0.522 0.290 1
Mg5 Mg 0.605 0.605 0.605 1
O33 O 0.259 0.403 0.175 1
Mo7 Mo 0.710 0.124 0.978 1
O34 O 0.195 0.736 0.450 1
Mg6 Mg 0.105 0.895 0.395 1
O35 O 0.673 0.517 0.446 1
Mg7 Mg 0.837 0.163 0.663 1
Mg8 Mg 0.895 0.395 0.105 1
Mo8 Mo 0.790 0.876 0.478 1
O36 O 0.736 0.450 0.195 1
O37 O 0.236 0.050 0.805 1
O38 O 0.486 0.436 0.270 1
O39 O 0.770 0.014 0.564 1
Mo9 Mo 0.124 0.978 0.710 1
O40 O 0.017 0.054 0.327 1
O41 O 0.050 0.805 0.236 1
Mo10 Mo 0.376 0.022 0.210 1
O42 O 0.054 0.327 0.017 1
O43 O 0.450 0.195 0.736 1
O44 O 0.173 0.983 0.554 1
Mo11 Mo 0.478 0.790 0.876 1
O45 O 0.675 0.241 0.597 1
Rb7 Rb 0.181 0.319 0.681 1
O46 O 0.986 0.064 0.730 1
O47 O 0.327 0.017 0.054 1
Rb8 Rb 0.819 0.819 0.819 1
Mo12 Mo 0.978 0.710 0.124 1
O48 O 0.436 0.270 0.486 1
```

---

DFT (GGA+U) results for a relaxed structure of Ca2Al2FeSi3HO13.

M_tot, Bohr magnetons per cell: 10.0
Calculated volume, A^3/atom: 10.8
Formation energy, eV/atom: -3.0796

The structure in CIF format:
```
data_Ca2Al2FeSi3HO13
_cell_length_a 5.715
_cell_length_b 9.008
_cell_length_c 10.259
_cell_angle_alpha 64.63
_cell_angle_beta 90.00
_cell_angle_gamma 90.00
_space_group_name_H-M_alt 'P 1'
_space_group_IT_number 1
loop_
_space_group_symop_operation_xyz
'x,y,z'
loop_
_atom_site_label
_atom_site_type_symbol
_atom_site_fract_x
_atom_site_fract_y
_atom_site_fract_z
_atom_site_occupancy
O1 O 0.007 0.767 0.040 1
Fe1 Fe 0.250 0.294 0.776 1
O2 O 0.750 0.374 0.098 1
O3 O 0.993 0.233 0.960 1
Al1 Al 0.500 0.000 0.500 1
Si1 Si 0.750 0.314 0.275 1
O4 O 0.750 0.067 0.592 1
Si2 Si 0.750 0.184 0.681 1
O5 O 0.486 0.797 0.662 1
O6 O 0.981 0.305 0.643 1
O7 O 0.750 0.949 0.128 1
H1 H 0.250 0.055 0.674 1
O8 O 0.250 0.933 0.408 1
Al2 Al 0.000 0.000 0.500 1
O9 O 0.986 0.203 0.338 1
O10 O 0.750 0.471 0.311 1
Ca1 Ca 0.250 0.245 0.151 1
O11 O 0.250 0.626 0.902 1
O12 O 0.014 0.797 0.662 1
O13 O 0.481 0.695 0.357 1
O14 O 0.250 0.486 0.182 1
Si3 Si 0.750 0.339 0.953 1
Al3 Al 0.000 0.000 0.000 1
O15 O 0.750 0.042 0.854 1
O16 O 0.250 0.051 0.872 1
Ca2 Ca 0.250 0.394 0.424 1
O17 O 0.493 0.767 0.040 1
O18 O 0.250 0.084 0.570 1
Fe2 Fe 0.750 0.706 0.224 1
O19 O 0.514 0.203 0.338 1
O20 O 0.750 0.514 0.818 1
Al4 Al 0.500 0.000 0.000 1
Si4 Si 0.250 0.661 0.047 1
H2 H 0.750 0.945 0.326 1
Si5 Si 0.250 0.816 0.319 1
Si6 Si 0.250 0.686 0.725 1
O21 O 0.519 0.305 0.643 1
Ca3 Ca 0.750 0.755 0.849 1
O22 O 0.507 0.233 0.960 1
Ca4 Ca 0.750 0.606 0.576 1
O23 O 0.750 0.916 0.430 1
O24 O 0.250 0.529 0.689 1
O25 O 0.019 0.695 0.357 1
O26 O 0.250 0.958 0.146 1
```